Record 1
The following is a DFT calculation (PBE+U) of an optimized crystal structure of LiCoPO4.

Lattice parameters (Å, degrees): 8.6582 5.1131 8.4925 90.00 107.85 90.00
Positions (direct):
Li (0.0000, 0.1763, 0.0000)
Li (0.0000, 0.8237, 0.5000)
Li (0.4904, 0.3175, 0.3644)
Li (0.4904, 0.6825, 0.8644)
Co (0.2443, 0.1803, 0.7594)
Co (0.2443, 0.8197, 0.2594)
Co (0.7382, 0.3204, 0.1260)
Co (0.7382, 0.6796, 0.6260)
P (0.1208, 0.3129, 0.3758)
P (0.1208, 0.6871, 0.8758)
P (0.6169, 0.1887, 0.7524)
P (0.6169, 0.8113, 0.2524)
O (0.0945, 0.1823, 0.5307)
O (0.0945, 0.8177, 0.0307)
O (0.1467, 0.3878, 0.9044)
O (0.1467, 0.6122, 0.4044)
O (0.2715, 0.1903, 0.3396)
O (0.2715, 0.8097, 0.8396)
O (0.4670, 0.3050, 0.7926)
O (0.4670, 0.6950, 0.2926)
O (0.5945, 0.1104, 0.2209)
O (0.5945, 0.8896, 0.7209)
O (0.6402, 0.3244, 0.5974)
O (0.6402, 0.6756, 0.0974)
O (0.7670, 0.2479, 0.9043)
O (0.7670, 0.7521, 0.4043)
O (0.9724, 0.2523, 0.2234)
O (0.9724, 0.7477, 0.7234)

Computed properties:
**Crystal system**: monoclinic
**Calculated formation energy**: -2.408 eV per atom
**SG**: Pc
**Relative energy among the computed polymorphs**: 0 meV per atom

***

Record 2
The following is a DFT calculation (PBE+U) of an optimized crystal structure of Li4V3P8O29.

Lattice parameters (Å, degrees): 9.7650 9.7965 14.2669 89.34 89.74 60.36
Positions (direct):
Li (0.0000, 0.0000, 0.0000)
Li (0.0133, 0.4494, 0.5058)
Li (0.1416, 0.4617, 0.0010)
Li (0.2375, 0.6854, 0.8831)
Li (0.5796, 0.4459, 0.5507)
Li (0.6112, 0.8600, 0.9991)
Li (0.8338, 0.0934, 0.3856)
Li (0.9122, 0.7719, 0.4506)
V (0.3498, 0.7823, 0.6839)
V (0.3570, 0.3409, 0.1987)
V (0.4833, 0.7757, 0.2023)
V (0.4853, 0.2031, 0.6960)
V (0.9147, 0.3447, 0.6984)
V (0.9185, 0.2108, 0.1912)
P (0.0068, 0.4594, 0.2883)
P (0.0111, 0.0038, 0.7816)
P (0.1376, 0.8596, 0.2843)
P (0.1501, 0.4587, 0.7876)
P (0.2281, 0.5540, 0.6051)
P (0.2391, 0.6879, 0.1029)
P (0.2471, 0.1187, 0.5736)
P (0.2574, 0.1064, 0.0778)
P (0.5762, 0.4469, 0.8099)
P (0.5862, 0.4397, 0.3148)
P (0.6026, 0.8581, 0.7839)
P (0.6130, 0.9998, 0.2843)
P (0.6855, 0.0946, 0.0996)
P (0.7010, 0.6910, 0.6014)
P (0.8255, 0.0944, 0.6031)
P (0.8294, 0.5521, 0.1094)
O (0.0018, 0.0333, 0.2764)
O (0.0076, 0.3049, 0.2737)
O (0.0081, 0.4348, 0.7823)
O (0.0271, 0.1505, 0.7639)
O (0.0964, 0.2655, 0.6119)
O (0.1045, 0.1059, 0.1121)
O (0.1190, 0.5703, 0.5279)
O (0.1196, 0.7800, 0.3678)
O (0.1227, 0.7817, 0.1877)
O (0.1375, 0.5753, 0.7034)
O (0.1673, 0.5285, 0.8770)
O (0.1672, 0.7724, 0.0124)
O (0.1772, 0.4318, 0.2692)
O (0.1779, 0.8528, 0.7732)
O (0.2502, 0.9658, 0.6167)
O (0.2546, 0.1152, 0.4702)
O (0.2594, 0.2530, 0.1211)
O (0.2603, 0.5204, 0.1054)
O (0.2647, 0.6927, 0.6047)
O (0.2704, 0.1038, 0.9740)
O (0.2991, 0.8578, 0.2731)
O (0.3016, 0.3012, 0.7656)
O (0.3899, 0.4013, 0.6102)
O (0.3928, 0.1179, 0.6213)
O (0.3971, 0.6816, 0.1252)
O (0.4016, 0.9562, 0.1243)
O (0.4332, 0.5971, 0.7644)
O (0.4361, 0.4446, 0.2693)
O (0.4434, 0.8675, 0.7582)
O (0.4549, 0.1589, 0.2740)
O (0.5369, 0.2544, 0.1230)
O (0.5422, 0.6844, 0.6105)
O (0.5658, 0.4489, 0.9132)
O (0.5729, 0.3025, 0.7637)
O (0.5741, 0.8639, 0.2788)
O (0.5754, 0.4464, 0.4191)
O (0.5772, 0.0282, 0.7740)
O (0.5870, 0.5890, 0.2718)
O (0.6541, 0.1231, 0.6132)
O (0.6596, 0.6952, 0.1092)
O (0.6652, 0.7851, 0.8761)
O (0.6702, 0.0159, 0.0157)
O (0.7104, 0.9839, 0.1907)
O (0.7115, 0.9872, 0.3663)
O (0.7133, 0.7809, 0.5211)
O (0.7186, 0.7619, 0.7004)
O (0.7306, 0.4385, 0.7682)
O (0.7325, 0.2882, 0.2804)
O (0.8140, 0.2573, 0.6125)
O (0.8209, 0.3981, 0.1242)
O (0.8328, 0.1156, 0.1007)
O (0.8360, 0.5190, 0.6038)
O (0.8976, 0.0101, 0.5145)
O (0.9037, 0.5767, 0.2046)
O (0.9161, 0.9881, 0.6935)
O (0.9247, 0.5458, 0.0269)
O (0.9379, 0.0027, 0.8727)
O (0.9475, 0.5389, 0.3798)

Computed properties:
**Crystal system**: triclinic
**Calculated formation energy**: -2.571 eV per atom
**SG**: P1
**Relative energy among the computed polymorphs**: 13 meV per atom

***

Record 3
The following is a DFT calculation (PBE+U) of an optimized crystal structure of Li4Ti4V4CoO18.

Lattice parameters (Å, degrees): 9.2810 24.3686 2.9783 90.00 90.00 90.00
Positions (direct):
Li (0.1866, 0.1899, 0.0000)
Li (0.1964, 0.9928, 0.0000)
Li (0.3036, 0.4928, 0.0000)
Li (0.3134, 0.6899, 0.0000)
Li (0.6866, 0.3101, 0.0000)
Li (0.6964, 0.5072, 0.0000)
Li (0.8036, 0.0072, 0.0000)
Li (0.8134, 0.8101, 0.0000)
Ti (0.0144, 0.8993, 0.0000)
Ti (0.1688, 0.8056, 0.5000)
Ti (0.3312, 0.3056, 0.5000)
Ti (0.4856, 0.3993, 0.0000)
Ti (0.5144, 0.6007, 0.0000)
Ti (0.6688, 0.6944, 0.5000)
Ti (0.8312, 0.1944, 0.5000)
Ti (0.9856, 0.1007, 0.0000)
V (0.0105, 0.6817, 0.0000)
V (0.1620, 0.5876, 0.5000)
V (0.3380, 0.0876, 0.5000)
V (0.4895, 0.1817, 0.0000)
V (0.5105, 0.8183, 0.0000)
V (0.6620, 0.9124, 0.5000)
V (0.8380, 0.4124, 0.5000)
V (0.9895, 0.3183, 0.0000)
Co (0.0000, 0.5000, 0.0000)
Co (0.5000, 0.0000, 0.0000)
O (0.0209, 0.5958, 0.0000)
O (0.0300, 0.1580, 0.5000)
O (0.0683, 0.9448, 0.5000)
O (0.1209, 0.7553, 0.0000)
O (0.1246, 0.2957, 0.5000)
O (0.1485, 0.5104, 0.5000)
O (0.1624, 0.6653, 0.5000)
O (0.1918, 0.0824, 0.0000)
O (0.1945, 0.8582, 0.0000)
O (0.3055, 0.3582, 0.0000)
O (0.3082, 0.5824, 0.0000)
O (0.3376, 0.1653, 0.5000)
O (0.3515, 0.0104, 0.5000)
O (0.3754, 0.7957, 0.5000)
O (0.3791, 0.2553, 0.0000)
O (0.4317, 0.4448, 0.5000)
O (0.4700, 0.6580, 0.5000)
O (0.4791, 0.0958, 0.0000)
O (0.5209, 0.9042, 0.0000)
O (0.5300, 0.3420, 0.5000)
O (0.5683, 0.5552, 0.5000)
O (0.6209, 0.7447, 0.0000)
O (0.6246, 0.2043, 0.5000)
O (0.6485, 0.9896, 0.5000)
O (0.6624, 0.8347, 0.5000)
O (0.6918, 0.4176, 0.0000)
O (0.6945, 0.6418, 0.0000)
O (0.8055, 0.1418, 0.0000)
O (0.8082, 0.9176, 0.0000)
O (0.8376, 0.3347, 0.5000)
O (0.8515, 0.4896, 0.5000)
O (0.8754, 0.7043, 0.5000)
O (0.8791, 0.2447, 0.0000)
O (0.9317, 0.0552, 0.5000)
O (0.9700, 0.8420, 0.5000)
O (0.9791, 0.4042, 0.0000)

Computed properties:
**Crystal system**: orthorhombic
**Calculated formation energy**: -2.748 eV per atom
**SG**: Pbam

***

Record 4
The following is a DFT calculation (PBE+U) of an optimized crystal structure of Li4V3P8O29.

Lattice parameters (Å, degrees): 9.7981 9.7981 14.0991 90.08 90.08 59.90
Positions (direct):
Li (0.1824, 0.7237, 0.9422)
Li (0.1860, 0.5856, 0.4392)
Li (0.2763, 0.8176, 0.5578)
Li (0.4144, 0.8140, 0.0608)
Li (0.5856, 0.1860, 0.9392)
Li (0.7237, 0.1824, 0.4422)
Li (0.8140, 0.4144, 0.5608)
Li (0.8176, 0.2763, 0.0578)
V (0.0692, 0.4941, 0.2441)
V (0.0699, 0.9301, 0.7500)
V (0.4941, 0.0692, 0.7441)
V (0.5059, 0.9308, 0.2559)
V (0.9301, 0.0699, 0.2500)
V (0.9308, 0.5059, 0.7559)
P (0.1610, 0.1688, 0.6289)
P (0.1688, 0.1610, 0.1289)
P (0.1782, 0.7319, 0.1597)
P (0.1803, 0.5855, 0.6553)
P (0.2681, 0.8218, 0.3403)
P (0.2713, 0.4137, 0.8392)
P (0.4137, 0.2713, 0.3392)
P (0.4145, 0.8197, 0.8447)
P (0.5855, 0.1803, 0.1553)
P (0.5863, 0.7287, 0.6608)
P (0.7287, 0.5863, 0.1608)
P (0.7319, 0.1782, 0.6597)
P (0.8197, 0.4145, 0.3447)
P (0.8218, 0.2681, 0.8403)
P (0.8312, 0.8390, 0.8711)
P (0.8390, 0.8312, 0.3711)
O (0.0124, 0.3179, 0.6709)
O (0.0139, 0.1713, 0.1674)
O (0.0188, 0.8816, 0.1766)
O (0.0205, 0.5960, 0.6801)
O (0.1178, 0.4046, 0.8235)
O (0.1184, 0.9812, 0.3234)
O (0.1588, 0.5847, 0.1661)
O (0.1630, 0.7520, 0.6606)
O (0.1653, 0.1694, 0.5235)
O (0.1678, 0.3128, 0.1744)
O (0.1694, 0.1653, 0.0235)
O (0.1713, 0.0139, 0.6674)
O (0.2444, 0.4162, 0.3385)
O (0.2480, 0.5069, 0.5637)
O (0.2480, 0.8370, 0.8394)
O (0.2577, 0.7389, 0.0709)
O (0.2611, 0.7423, 0.4291)
O (0.2628, 0.5065, 0.9242)
O (0.2899, 0.7101, 0.2500)
O (0.2937, 0.4916, 0.7435)
O (0.3128, 0.1678, 0.6744)
O (0.3179, 0.0124, 0.1709)
O (0.4040, 0.9795, 0.8199)
O (0.4046, 0.1178, 0.3235)
O (0.4153, 0.8412, 0.3339)
O (0.4162, 0.2444, 0.8385)
O (0.4916, 0.2937, 0.2435)
O (0.4931, 0.7520, 0.9363)
O (0.4935, 0.7372, 0.5758)
O (0.5065, 0.2628, 0.4242)
O (0.5069, 0.2480, 0.0637)
O (0.5084, 0.7063, 0.7565)
O (0.5838, 0.7556, 0.1615)
O (0.5847, 0.1588, 0.6661)
O (0.5954, 0.8822, 0.6765)
O (0.5960, 0.0205, 0.1801)
O (0.6821, 0.9876, 0.8291)
O (0.6872, 0.8322, 0.3256)
O (0.7063, 0.5084, 0.2565)
O (0.7101, 0.2899, 0.7500)
O (0.7372, 0.4935, 0.0758)
O (0.7389, 0.2577, 0.5709)
O (0.7423, 0.2611, 0.9291)
O (0.7520, 0.1630, 0.1606)
O (0.7520, 0.4931, 0.4363)
O (0.7556, 0.5838, 0.6615)
O (0.8287, 0.9861, 0.3326)
O (0.8306, 0.8347, 0.9765)
O (0.8322, 0.6872, 0.8256)
O (0.8347, 0.8306, 0.4765)
O (0.8370, 0.2480, 0.3394)
O (0.8412, 0.4153, 0.8339)
O (0.8816, 0.0188, 0.6766)
O (0.8822, 0.5954, 0.1765)
O (0.9795, 0.4040, 0.3199)
O (0.9812, 0.1184, 0.8234)
O (0.9861, 0.8287, 0.8326)
O (0.9876, 0.6821, 0.3291)

Computed properties:
**Crystal system**: monoclinic
**Calculated formation energy**: -2.572 eV per atom
**SG**: C2/c
**Relative energy among the computed polymorphs**: 11 meV per atom